A relaxed structure of Ba3V4ZnO14. Source: the Materials Project, functional PBE with a Hubbard U.

ΔE_f ... -5778.2 kJ/mol of formula units
Space-group type ... P2_1/c, No. 14

a b c (Å): 7.3676 14.1720 14.2265
angles (deg): 90.00 109.01 90.00
Last column: nearest neighbours and their distance in Å.
Sites, in units of the cell vectors:
Ba 0.0566 0.2307 0.2976  7 O 2.69-2.97
Ba 0.0566 0.2693 0.7976  7 O 2.69-2.97
Ba 0.2693 0.6050 0.0144  7 O 2.68-2.93
Ba 0.2693 0.8950 0.5144  7 O 2.68-2.93
Ba 0.3849 0.5544 0.7163  7 O 2.78-2.94
Ba 0.3849 0.9456 0.2163  7 O 2.78-2.94
Ba 0.6151 0.0544 0.7837  7 O 2.78-2.94
Ba 0.6151 0.4456 0.2837  7 O 2.78-2.94
Ba 0.7307 0.1050 0.4856  7 O 2.68-2.93
Ba 0.7307 0.3950 0.9856  7 O 2.68-2.93
Ba 0.9434 0.7307 0.2024  7 O 2.69-2.97
Ba 0.9434 0.7693 0.7024  7 O 2.69-2.97
V 0.1014 0.0264 0.7622  4 O 1.69-1.84
V 0.1014 0.4736 0.2622  4 O 1.69-1.84
V 0.1154 0.6126 0.4519  4 O 1.68-1.86
V 0.1154 0.8874 0.9519  4 O 1.68-1.86
V 0.3037 0.1685 0.5515  4 O 1.70-1.86
V 0.3037 0.3315 0.0515  4 O 1.70-1.86
V 0.4837 0.1879 0.2320  4 O 1.71-1.83
V 0.4837 0.3121 0.7320  4 O 1.71-1.83
V 0.5163 0.6879 0.2680  4 O 1.71-1.83
V 0.5163 0.8121 0.7680  4 O 1.71-1.83
V 0.6963 0.6685 0.9485  4 O 1.70-1.86
V 0.6963 0.8315 0.4485  4 O 1.70-1.86
V 0.8846 0.1126 0.0481  4 O 1.68-1.86
V 0.8846 0.3874 0.5481  4 O 1.68-1.86
V 0.8986 0.5264 0.7378  4 O 1.69-1.84
V 0.8986 0.9736 0.2378  4 O 1.69-1.84
Zn 0.3938 0.0995 0.9930  4 O 2.01-2.13
Zn 0.3938 0.4005 0.4930  4 O 2.01-2.13
Zn 0.6062 0.5995 0.5070  4 O 2.01-2.13
Zn 0.6062 0.9005 0.0070  4 O 2.01-2.13
O 0.0029 0.0590 0.1724  2 V 1.84-1.86
O 0.0029 0.4410 0.6724  2 V 1.84-1.86
O 0.0260 0.1135 0.9748  1 V 1.70
O 0.0260 0.3865 0.4748  1 V 1.70
O 0.0872 0.1279 0.4780  1 V 1.70
O 0.0872 0.3721 0.9780  1 V 1.70
O 0.0890 0.5977 0.7988  1 V 1.72
O 0.0890 0.9023 0.2988  1 V 1.72
O 0.1561 0.7244 0.4243  1 V 1.68
O 0.1561 0.7756 0.9243  1 V 1.68
O 0.1950 0.5256 0.1817  1 V 1.69
O 0.1950 0.9744 0.6817  1 V 1.69
O 0.2777 0.0976 0.8433  1 V 1.75
O 0.2777 0.4024 0.3433  1 V 1.75
O 0.3072 0.2217 0.6716  2 V 1.83-1.86
O 0.3072 0.2783 0.1716  2 V 1.83-1.86
O 0.3071 0.7436 0.2005  1 V 1.72
O 0.3071 0.7564 0.7005  1 V 1.72
O 0.3373 0.5538 0.5137  1 V 1.79
O 0.3373 0.9462 0.0137  1 V 1.79
O 0.3805 0.2505 0.4838  1 V 1.72
O 0.3805 0.2495 0.9838  1 V 1.72
O 0.3980 0.1251 0.3113  1 V 1.71
O 0.3980 0.3749 0.8113  1 V 1.71
O 0.4630 0.0754 0.5788  1 V 1.72
O 0.4630 0.4246 0.0788  1 V 1.72
O 0.4960 0.1090 0.1417  1 V 1.73
O 0.4960 0.3910 0.6417  1 V 1.73
O 0.5040 0.6090 0.3583  1 V 1.73
O 0.5040 0.8910 0.8583  1 V 1.73
O 0.5370 0.5754 0.9212  1 V 1.72
O 0.5370 0.9246 0.4212  1 V 1.72
O 0.6020 0.6251 0.1887  1 V 1.71
O 0.6020 0.8749 0.6887  1 V 1.71
O 0.6195 0.7505 0.0162  1 V 1.72
O 0.6195 0.7495 0.5162  1 V 1.72
O 0.6627 0.0538 0.9863  1 V 1.79
O 0.6627 0.4462 0.4863  1 V 1.79
O 0.6929 0.2436 0.2995  1 V 1.72
O 0.6929 0.2564 0.7995  1 V 1.72
O 0.6928 0.7217 0.8284  2 V 1.83-1.86
O 0.6928 0.7783 0.3284  2 V 1.83-1.86
O 0.7223 0.5976 0.6567  1 V 1.75
O 0.7223 0.9024 0.1567  1 V 1.75
O 0.8050 0.0256 0.3183  1 V 1.69
O 0.8050 0.4744 0.8183  1 V 1.69
O 0.8439 0.2244 0.0757  1 V 1.68
O 0.8439 0.2756 0.5757  1 V 1.68
O 0.9110 0.0977 0.7012  1 V 1.72
O 0.9110 0.4023 0.2012  1 V 1.72
O 0.9128 0.6279 0.0220  1 V 1.70
O 0.9128 0.8721 0.5220  1 V 1.70
O 0.9740 0.6135 0.5252  1 V 1.70
O 0.9740 0.8865 0.0252  1 V 1.70
O 0.9971 0.5590 0.3276  2 V 1.84-1.86
O 0.9971 0.9410 0.8276  2 V 1.84-1.86


A relaxed structure of CaFeAsF. Source: the Materials Project, functional PBE with a Hubbard U.

Energy above the most stable polymorph in this dataset ... 11 kJ/mol of formula units
ΔE_f ... -618.8 kJ/mol of formula units
Space-group type ... P4/nmm, No. 129

a b c (Å): 4.0566 4.0566 8.8989
angles (deg): 90.00 90.00 90.00
Last column: nearest neighbours and their distance in Å.
Sites, in units of the cell vectors:
Ca 0.2500 0.2500 0.1444  4 F 2.40
Ca 0.7500 0.7500 0.8556  4 F 2.40
Fe 0.2500 0.7500 0.5000  4 As 2.57, 4 Fe 2.87
Fe 0.7500 0.2500 0.5000  4 As 2.57, 4 Fe 2.87
As 0.2500 0.2500 0.6775  4 Fe 2.57
As 0.7500 0.7500 0.3225  4 Fe 2.57
F 0.2500 0.7500 0.0000  4 Ca 2.40
F 0.7500 0.2500 0.0000  4 Ca 2.40


A relaxed structure of Nd2Mo2O7. Source: the Materials Project, functional PBE with a Hubbard U.

Energy above the most stable polymorph in this dataset ... 0 kJ/mol of formula units
ΔE_f ... -3081.2 kJ/mol of formula units
Space-group type ... I4_1/a, No. 88

a b c (Å): 7.5151 7.5151 7.5151
angles (deg): 119.95 119.95 90.09
Last column: nearest neighbours and their distance in Å.
Sites, in units of the cell vectors:
Nd 0.0000 0.0000 0.0000  4 O 2.30-2.55
Nd 0.5000 0.0000 0.0000  4 O 2.30-2.55
Nd 0.5000 0.0000 0.5000  4 O 2.30-2.55
Nd 0.5000 0.5000 0.5000  4 O 2.30-2.55
Mo 0.0000 0.0000 0.5000  6 O 2.04-2.12
Mo 0.0000 0.5000 0.0000  6 O 2.04-2.12
Mo 0.0000 0.5000 0.5000  6 O 2.04-2.12
Mo 0.5000 0.5000 0.0000  6 O 2.04-2.12
O 0.0780 0.8281 0.6676  2 Mo 2.04-2.12
O 0.0831 0.8331 0.2500  2 Mo 2.08
O 0.0896 0.4220 0.2502  2 Mo 2.04-2.12
O 0.3281 0.1605 0.7502  2 Mo 2.04-2.12
O 0.3331 0.5831 0.7500  2 Mo 2.08
O 0.3395 0.5896 0.1676  2 Mo 2.04-2.12
O 0.3750 0.1250 0.2500  4 Nd 2.30
O 0.6250 0.8750 0.7500  4 Nd 2.30
O 0.6605 0.4104 0.8324  2 Mo 2.04-2.12
O 0.6669 0.4169 0.2500  2 Mo 2.08
O 0.6719 0.8395 0.2498  2 Mo 2.04-2.12
O 0.9104 0.5780 0.7498  2 Mo 2.04-2.12
O 0.9169 0.1669 0.7500  2 Mo 2.08
O 0.9220 0.1719 0.3324  2 Mo 2.04-2.12


A relaxed structure of Cs2FeHF5. Source: the Materials Project, functional PBE with a Hubbard U.

ΔE_f ... -1981.3 kJ/mol of formula units
Space-group type ... Cmcm, No. 63

a b c (Å): 6.5668 6.5668 9.2242
angles (deg): 90.00 90.00 83.43
Last column: nearest neighbours and their distance in Å.
Sites, in units of the cell vectors:
Cs 0.2285 0.2285 0.0000  6 F 3.05-3.23
Cs 0.2285 0.2285 0.5000  6 F 3.05-3.23
Cs 0.7715 0.7715 0.0000  6 F 3.05-3.23
Cs 0.7715 0.7715 0.5000  6 F 3.05-3.23
Fe 0.2547 0.7453 0.7500  5 F 1.89-1.93
Fe 0.7453 0.2547 0.2500  5 F 1.89-1.93
H 0.4308 0.5692 0.2500  1 Fe 2.75, 4 F 2.96-2.99
H 0.5692 0.4308 0.7500  1 Fe 2.75, 4 F 2.96-2.99
F 0.0387 0.9613 0.7500  1 Fe 1.89
F 0.0937 0.5177 0.7500  1 Fe 1.93
F 0.3029 0.6971 0.5472  1 Fe 1.92
F 0.3029 0.6971 0.9528  1 Fe 1.92
F 0.4823 0.9063 0.7500  1 Fe 1.93
F 0.5177 0.0937 0.2500  1 Fe 1.93
F 0.6971 0.3029 0.0472  1 Fe 1.92
F 0.6971 0.3029 0.4528  1 Fe 1.92
F 0.9063 0.4823 0.2500  1 Fe 1.93
F 0.9613 0.0387 0.2500  1 Fe 1.89


A relaxed structure of Li3Al2VO6. Source: the Materials Project, functional PBE with a Hubbard U.

Energy above the most stable polymorph in this dataset ... 73 kJ/mol of formula units
ΔE_f ... -3237.2 kJ/mol of formula units
Space-group type ... P2_1/c, No. 14

a b c (Å): 5.8839 10.1968 9.9901
angles (deg): 90.00 125.02 90.00
Last column: nearest neighbours and their distance in Å.
Sites, in units of the cell vectors:
Li 0.1940 0.1556 0.3768  3 O 1.92-2.06
Li 0.1940 0.3444 0.8768  3 O 1.92-2.06
Li 0.2025 0.0051 0.8597  4 O 1.95-2.13
Li 0.2025 0.4949 0.3597  4 O 1.95-2.13
Li 0.2594 0.5014 0.1136  3 O 1.95-2.14
Li 0.2594 0.9986 0.6136  3 O 1.95-2.14
Li 0.7406 0.0014 0.3864  3 O 1.95-2.14
Li 0.7406 0.4986 0.8864  3 O 1.95-2.14
Li 0.7975 0.5051 0.6403  4 O 1.95-2.13
Li 0.7975 0.9949 0.1403  4 O 1.95-2.13
Li 0.8060 0.6556 0.1232  3 O 1.92-2.06
Li 0.8060 0.8444 0.6232  3 O 1.92-2.06
Al 0.2120 0.6652 0.8781  3 O 1.74-1.86
Al 0.2120 0.8348 0.3781  3 O 1.74-1.86
Al 0.2987 0.6635 0.6262  5 O 1.80-1.95
Al 0.2987 0.8365 0.1262  5 O 1.80-1.95
Al 0.7013 0.1635 0.8738  5 O 1.80-1.95
Al 0.7013 0.3365 0.3738  5 O 1.80-1.95
Al 0.7880 0.1652 0.6219  3 O 1.74-1.86
Al 0.7880 0.3348 0.1219  3 O 1.74-1.86
V 0.2869 0.1639 0.1260  5 O 1.91-2.12
V 0.2869 0.3361 0.6260  5 O 1.91-2.12
V 0.7131 0.6639 0.3740  5 O 1.91-2.12
V 0.7131 0.8361 0.8740  5 O 1.91-2.12
O 0.0050 0.1715 0.8684  2 Al 1.82-2.02
O 0.0050 0.3285 0.3684  2 Al 1.82-2.02
O 0.0602 0.6780 0.3885  2 Al 1.86-1.95, 1 V 1.97
O 0.0602 0.8220 0.8885  2 Al 1.86-1.95, 1 V 1.97
O 0.0641 0.5174 0.8772  1 Al 1.74, 1 Li 1.92
O 0.0641 0.9826 0.3772  1 Al 1.74, 1 Li 1.92
O 0.4331 0.5045 0.6282  1 Al 1.80, 1 V 1.91
O 0.4331 0.9955 0.1282  1 Al 1.80, 1 V 1.91
O 0.4587 0.6874 0.1178  2 Al 1.82-1.98
O 0.4587 0.8126 0.6178  2 Al 1.82-1.98
O 0.4901 0.1799 0.6383  2 Al 1.86-1.94, 1 V 1.95
O 0.4901 0.3201 0.1383  2 Al 1.86-1.94, 1 V 1.95
O 0.5099 0.6799 0.8617  2 Al 1.86-1.94, 1 V 1.95
O 0.5099 0.8201 0.3617  2 Al 1.86-1.94, 1 V 1.95
O 0.5413 0.1874 0.3822  2 Al 1.82-1.98
O 0.5413 0.3126 0.8822  2 Al 1.82-1.98
O 0.5669 0.0045 0.8718  1 Al 1.80, 1 V 1.91
O 0.5669 0.4955 0.3718  1 Al 1.80, 1 V 1.91
O 0.9359 0.0174 0.6228  1 Al 1.74, 1 Li 1.92
O 0.9359 0.4826 0.1228  1 Al 1.74, 1 Li 1.92
O 0.9398 0.1780 0.1115  2 Al 1.86-1.95, 1 V 1.97
O 0.9398 0.3220 0.6115  2 Al 1.86-1.95, 1 V 1.97
O 0.9950 0.6715 0.6316  2 Al 1.82-2.02
O 0.9950 0.8285 0.1316  2 Al 1.82-2.02


A relaxed structure of Ba2Mg3Mn4Tl2O12. Source: the Materials Project, functional PBE with a Hubbard U.

ΔE_f ... -4607.6 kJ/mol of formula units
Space-group type ... I4/mmm, No. 139

a b c (Å): 23.0673 23.0673 23.0673
angles (deg): 170.46 170.46 13.51
Last column: nearest neighbours and their distance in Å.
Sites, in units of the cell vectors:
Ba 0.1634 0.1634 0.0000  5 O 2.64-2.76
Ba 0.8366 0.8366 0.0000  5 O 2.64-2.76
Mg 0.0000 0.0000 0.0000  8 O 2.36
Mg 0.0783 0.0783 0.0000  4 O 2.07
Mg 0.9217 0.9217 0.0000  4 O 2.07
Mn 0.3919 0.3919 0.0000  5 O 2.01-2.03
Mn 0.4642 0.4642 0.0000  4 O 1.94
Mn 0.5358 0.5358 0.0000  4 O 1.94
Mn 0.6081 0.6081 0.0000  5 O 2.01-2.03
Tl 0.2751 0.2751 0.0000  5 O 2.47-2.72
Tl 0.7249 0.7249 0.0000  5 O 2.47-2.72
O 0.0300 0.5300 0.5000  2 Mn 1.94
O 0.0950 0.5950 0.5000  2 Mn 2.01, 2 Mg 2.07
O 0.2211 0.2211 0.0000  5 Tl 2.47-2.72, 1 Ba 2.64
O 0.3475 0.3475 0.0000  1 Mn 2.03
O 0.4050 0.9050 0.5000  2 Mn 2.01, 2 Mg 2.07
O 0.4700 0.9700 0.5000  2 Mn 1.94
O 0.5300 0.0300 0.5000  2 Mn 1.94
O 0.5950 0.0950 0.5000  2 Mn 2.01, 2 Mg 2.07
O 0.6525 0.6525 0.0000  1 Mn 2.03
O 0.7789 0.7789 0.0000  5 Tl 2.47-2.72, 1 Ba 2.64
O 0.9050 0.4050 0.5000  2 Mn 2.01, 2 Mg 2.07
O 0.9700 0.4700 0.5000  2 Mn 1.94


Among the records above, which one has the highest ΔE_f?
CaFeAsF


ΔE_f of number 3 (Nd2Mo2O7)?
-3081.2 kJ/mol of formula units


What did the second record say?
A relaxed structure of CaFeAsF. Source: the Materials Project, functional PBE with a Hubbard U.

Energy above the most stable polymorph in this dataset ... 11 kJ/mol of formula units
ΔE_f ... -618.8 kJ/mol of formula units
Space-group type ... P4/nmm, No. 129

a b c (Å): 4.0566 4.0566 8.8989
angles (deg): 90.00 90.00 90.00
Last column: nearest neighbours and their distance in Å.
Sites, in units of the cell vectors:
Ca 0.2500 0.2500 0.1444  4 F 2.40
Ca 0.7500 0.7500 0.8556  4 F 2.40
Fe 0.2500 0.7500 0.5000  4 As 2.57, 4 Fe 2.87
Fe 0.7500 0.2500 0.5000  4 As 2.57, 4 Fe 2.87
As 0.2500 0.2500 0.6775  4 Fe 2.57
As 0.7500 0.7500 0.3225  4 Fe 2.57
F 0.2500 0.7500 0.0000  4 Ca 2.40
F 0.7500 0.2500 0.0000  4 Ca 2.40